First-principles (PBE) data for a relaxed Te2Pd3Pb2 crystal, as listed in the Materials Project database.

Results
ΔE_f = -382 meV/atom
Calculated density = 9.5 g/cm3
Calculated volume = 24.78 A^3/atom

Cell: 6.0552 6.5223 8.7849 Å, 90.00 90.00 90.00°
Last column: nearest neighbours and their distance in Å.
Fractional coordinates of all 14 atoms:
Te (0.0000, 0.3267, 0.2910)  3 Pd 2.64-2.66
Te (0.5000, 0.6733, 0.7910)  3 Pd 2.64-2.66
Te (0.0000, 0.3267, 0.7090)  3 Pd 2.64-2.66
Te (0.5000, 0.6733, 0.2090)  3 Pd 2.64-2.66
Pd (0.7500, 0.0000, 0.2500)  2 Te 2.64
Pd (0.5000, 0.7844, 0.5000)  2 Te 2.66
Pd (0.7500, 0.0000, 0.7500)  2 Te 2.64
Pd (0.2500, 0.0000, 0.2500)  2 Te 2.64
Pd (0.2500, 0.0000, 0.7500)  2 Te 2.64
Pd (0.0000, 0.2156, 0.0000)  2 Te 2.66
Pb (0.0000, 0.7439, 0.0000)  6 Pd 3.08-3.45
Pb (0.5000, 0.2561, 0.5000)  6 Pd 3.08-3.45
Pb (0.0000, 0.8046, 0.5000)  6 Pd 2.96-3.03
Pb (0.5000, 0.1954, 0.0000)  6 Pd 2.96-3.03

First-principles (PBE) data for a relaxed LiTi2P2O9 crystal, as listed in the Materials Project database.

Results
ΔE_f = -2998 meV/atom
Calculated density = 3.0 g/cm3
Calculated volume = 12.30 A^3/atom
Magnetic moment = 4.01 μB/cell

Cell: 6.4105 7.6423 14.0606 Å, 90.00 90.00 90.00°
Last column: nearest neighbours and their distance in Å.
Fractional coordinates of all 56 atoms:
Li (0.7500, 0.9523, 0.7736)  1 O 1.97
Li (0.7500, 0.5477, 0.2736)  1 O 1.97
Li (0.2500, 0.4523, 0.7264)  1 O 1.97
Li (0.2500, 0.0477, 0.2264)  1 O 1.97
Ti (0.7500, 0.3531, 0.8795)  5 O 1.89-2.03
Ti (0.2500, 0.6469, 0.1205)  5 O 1.89-2.03
Ti (0.2500, 0.8531, 0.6205)  5 O 1.89-2.03
Ti (0.7500, 0.1469, 0.3795)  5 O 1.89-2.03
Ti (0.5000, 0.0000, 0.0000)  6 O 2.00-2.09
Ti (0.5000, 0.5000, 0.5000)  6 O 2.00-2.09
Ti (0.0000, 0.5000, 0.5000)  6 O 2.00-2.09
Ti (0.0000, 0.0000, 0.0000)  6 O 2.00-2.09
P (0.2500, 0.3582, 0.9320)  4 O 1.53-1.58
P (0.7500, 0.6418, 0.0680)  4 O 1.53-1.58
P (0.7500, 0.8582, 0.5680)  4 O 1.53-1.58
P (0.2500, 0.1418, 0.4320)  4 O 1.53-1.58
P (0.7500, 0.3770, 0.6900)  4 O 1.55-1.56
P (0.7500, 0.1230, 0.1900)  4 O 1.55-1.56
P (0.2500, 0.8770, 0.8100)  4 O 1.55-1.56
P (0.2500, 0.6230, 0.3100)  4 O 1.55-1.56
O (0.0503, 0.6081, 0.3726)  1 P 1.56
O (0.5503, 0.3919, 0.6274)  1 P 1.56
O (0.9497, 0.1081, 0.1274)  1 P 1.56
O (0.4497, 0.8919, 0.8726)  1 P 1.56
O (0.9497, 0.3919, 0.6274)  1 P 1.56
O (0.4497, 0.6081, 0.3726)  1 P 1.56
O (0.0503, 0.8919, 0.8726)  1 P 1.56
O (0.5503, 0.1081, 0.1274)  1 P 1.56
O (0.2500, 0.3298, 0.4782)  1 P 1.58
O (0.7500, 0.6702, 0.5218)  1 P 1.58
O (0.7500, 0.8298, 0.0218)  1 P 1.58
O (0.2500, 0.1702, 0.9782)  1 P 1.58
O (0.7500, 0.1332, 0.9415)  3 Ti 1.89-2.07
O (0.2500, 0.8668, 0.0585)  3 Ti 1.89-2.07
O (0.2500, 0.6332, 0.5585)  3 Ti 1.89-2.07
O (0.7500, 0.3668, 0.4415)  3 Ti 1.89-2.07
O (0.7500, 0.2071, 0.7507)  1 P 1.55
O (0.2500, 0.7929, 0.2493)  1 P 1.55
O (0.2500, 0.7071, 0.7493)  1 P 1.55
O (0.7500, 0.2929, 0.2507)  1 P 1.55
O (0.4411, 0.1254, 0.3671)  1 P 1.53
O (0.9411, 0.8746, 0.6329)  1 P 1.53
O (0.5589, 0.6254, 0.1329)  1 P 1.53
O (0.0589, 0.3746, 0.8671)  1 P 1.53
O (0.5589, 0.8746, 0.6329)  1 P 1.53
O (0.0589, 0.1254, 0.3671)  1 P 1.53
O (0.4411, 0.3746, 0.8671)  1 P 1.53
O (0.9411, 0.6254, 0.1329)  1 P 1.53
O (0.7500, 0.5057, 0.9882)  1 P 1.53
O (0.2500, 0.0209, 0.7322)  1 P 1.55
O (0.2500, 0.4791, 0.2322)  1 P 1.55
O (0.7500, 0.5209, 0.7678)  1 P 1.55
O (0.7500, 0.9943, 0.4882)  1 P 1.53
O (0.2500, 0.0057, 0.5118)  1 P 1.53
O (0.2500, 0.4943, 0.0118)  1 P 1.53
O (0.7500, 0.9791, 0.2678)  1 P 1.55

First-principles (PBE) data for a relaxed Pm2CuAu crystal, as listed in the Materials Project database.

Results
ΔE_f = -466 meV/atom
Calculated density = 9.5 g/cm3
Calculated volume = 24.14 A^3/atom

Cell: 5.1497 5.1497 5.1497 Å, 60.00 60.00 60.00°
Last column: nearest neighbours and their distance in Å.
Fractional coordinates of all 4 atoms:
Pm (0.2500, 0.2500, 0.2500)  4 Cu 3.15, 4 Au 3.15
Pm (0.7500, 0.7500, 0.7500)  4 Cu 3.15, 4 Au 3.15
Cu (0.0000, 0.0000, 0.0000)  8 Pm 3.15
Au (0.5000, 0.5000, 0.5000)  8 Pm 3.15

First-principles (PBE) data for a relaxed Sr2B5H2O11 crystal, as listed in the Materials Project database.

Results
ΔE_f = -2704 meV/atom
Calculated density = 3.2 g/cm3
Calculated volume = 10.66 A^3/atom
Magnetic moment = 1.00 μB/cell

Cell: 6.5605 6.5605 6.4088 Å, 61.56 61.56 76.89°
Last column: nearest neighbours and their distance in Å.
Fractional coordinates of all 20 atoms:
Sr (0.1689, 0.2465, 0.0809)  8 O 2.56-2.73
Sr (0.7535, 0.8311, 0.9191)  8 O 2.56-2.73
B (0.2490, 0.9003, 0.7443)  4 O 1.46-1.52
B (0.0997, 0.7510, 0.2557)  4 O 1.46-1.52
B (0.3408, 0.6592, 0.5000)  4 O 1.46-1.51
B (0.1940, 0.3416, 0.4928)  3 O 1.37-1.39
B (0.6584, 0.8060, 0.5072)  3 O 1.37-1.39
H (0.7026, 0.3581, 0.7197)  1 O 0.98
H (0.6419, 0.2974, 0.2803)  1 O 0.98
O (0.5922, 0.6933, 0.4159)  2 B 1.37-1.51
O (0.3067, 0.4078, 0.5841)  2 B 1.37-1.51
O (0.1800, 0.1135, 0.5483)  2 B 1.38-1.52
O (0.8865, 0.8200, 0.4517)  2 B 1.38-1.52
O (0.3000, 0.8038, 0.2652)  2 B 1.46-1.47
O (0.1962, 0.7000, 0.7348)  2 B 1.46-1.47
O (0.0989, 0.9011, 0.0000)  2 B 1.46
O (0.0943, 0.4995, 0.3284)  2 B 1.39-1.49
O (0.5005, 0.9057, 0.6716)  2 B 1.39-1.49
O (0.6183, 0.2413, 0.8983)  1 H 0.98
O (0.7587, 0.3817, 0.1017)  1 H 0.98